Arrangement i

First-principles (PBE) data for a relaxed Cu5Se2Cl2O8 crystal, as listed in Materials Project.

```
34
Lattice="-5.393 -1.728 0.415 1.073 -2.851 -5.349 4.165 -11.349 6.883" Properties=species:S:1:pos:R:3 pbc="T T T"
O -0.243 -14.504 2.760
O -1.255 -10.789 -0.904
O -3.197 -4.640 0.534
Cu -1.935 -3.033 -3.732
Se 4.068 -12.655 1.002
O 0.841 -9.248 -0.112
Cu 1.579 -11.601 2.743
Cl -2.086 -6.922 -1.033
O -0.997 -6.679 2.060
O 0.115 -11.522 1.240
O -0.270 -4.405 0.708
Cl 1.931 -9.005 2.981
Cu 0.536 -1.425 -2.675
O -1.553 -9.168 1.540
O -3.066 -1.997 0.631
Cu 2.814 -7.764 -0.546
Cu -2.970 -8.163 2.494
Se 0.411 -10.901 -0.379
Cu 1.478 -4.867 -0.150
Cu -1.633 -11.060 2.098
O 1.100 -5.138 2.852
O 2.911 -13.930 1.318
O 0.087 -1.423 -0.811
O 2.734 -12.639 3.962
Cl -0.147 -11.555 4.211
Se -4.224 -3.272 0.946
Cu -0.078 -7.963 0.974
O -2.890 -3.288 -2.013
O 1.397 -6.759 0.409
O 3.042 -11.287 1.414
Cu 1.780 -12.894 5.680
Se -0.567 -5.026 2.327
Cu -1.735 -4.326 -0.795
Cl -0.009 -4.372 -2.263
```

=====

Arrangement ii

First-principles (PBE) data for a relaxed Cu5Se2Cl2O8 crystal, as listed in Materials Project.

```
34
Lattice="8.255 0.000 0.000 0.000 5.491 0.000 0.000 1.770 11.097" Properties=species:S:1:pos:R:3 pbc="T T T"
Cu 7.629 2.850 1.330
O 3.639 2.359 2.651
Se 4.879 1.124 2.386
Cu 0.000 0.000 0.000
Cu 1.770 3.935 6.835
O 4.616 4.903 8.446
O 2.215 4.337 2.793
O 7.695 6.557 9.354
O 6.040 2.924 8.304
O 1.913 5.223 8.341
Cu 2.357 3.050 1.287
Se 0.752 5.253 3.162
O 6.342 2.039 2.756
Cu 6.485 3.327 4.262
O 4.687 5.672 3.805
Cl 7.002 4.873 5.794
O 3.298 4.613 5.846
Cu 3.501 3.527 4.218
Se 3.375 6.138 8.711
O 7.767 4.018 2.898
Cu 4.127 0.885 5.548
O 3.568 1.590 7.292
Cu 0.626 4.412 9.767
O 0.560 0.705 1.743
O 0.488 3.244 8.199
Cl 2.875 3.274 10.851
Cu 5.897 4.212 9.810
Cl 5.380 3.988 0.246
O 4.957 2.648 5.251
O 7.425 3.534 10.800
Cl 1.253 2.388 5.302
O 0.830 3.728 0.297
Se 7.503 2.009 7.935
Cu 4.753 3.735 6.879
```

=====

Stability check: which of them is most stable? arrangement ii.

=====

Arrangement i

First-principles (PBE) data for a relaxed Cu9Se4Cl6O14 crystal, as listed in Materials Project.

```
33
Lattice="6.094 0.000 1.683 2.865 7.632 1.500 -0.023 -0.046 11.956" Properties=species:S:1:pos:R:3 pbc="T T T"
Cu 4.480 3.816 1.592
O 5.778 3.077 2.828
O 7.301 4.526 4.282
Cu 5.779 1.136 2.824
O 6.294 0.804 12.832
O 4.908 2.827 5.979
Cl 1.634 1.697 5.958
O 3.724 4.526 3.294
Cl 4.850 5.641 6.186
Se 3.981 6.489 9.334
O 5.212 3.060 11.845
Cu 5.333 4.216 4.440
Cl 6.141 6.098 13.388
Cu 1.433 3.816 0.750
O 4.029 4.759 9.161
Cu 4.468 3.793 7.570
Cu 6.732 6.404 11.247
Cu 3.157 6.450 12.316
O 4.820 6.667 10.878
Cl 2.796 1.488 1.752
O 8.563 6.667 11.911
Se 2.317 5.534 3.485
Se 6.619 2.052 11.654
Se 4.955 1.097 5.806
O 3.158 4.509 12.312
O 2.642 6.782 2.307
O 4.117 0.919 4.262
Cl 4.086 1.945 8.954
Cl 7.303 5.889 9.181
O 1.635 3.060 10.857
O 0.374 0.919 3.228
Cu 3.604 3.370 10.700
Cu 2.204 1.182 3.893
```

=====

Arrangement ii

First-principles (PBE) data for a relaxed Cu9Se4Cl6O14 crystal, as listed in Materials Project.

```
66
Lattice="-3.635 4.631 2.406 -9.477 -3.015 -8.513 -10.567 -10.249 3.764" Properties=species:S:1:pos:R:3 pbc="T T T"
Cl -14.369 -3.178 1.131
Cl -12.984 -7.062 -5.560
Cu -10.079 -0.626 -1.532
O -10.149 0.860 -0.278
Cl -12.963 -4.402 5.077
Se -12.692 -2.736 -5.212
Cu -15.413 -5.685 0.384
O -5.300 -4.012 0.329
O -10.369 0.399 -3.234
Cl -6.132 -1.249 2.171
Cu -9.774 -1.081 -4.467
Cu -15.009 -10.683 -1.660
Se -10.664 2.100 -3.408
O -10.480 -6.410 1.287
Cu -6.334 -0.507 0.097
O -8.335 -2.423 -4.661
O -4.947 -1.604 -0.760
Cu -13.312 -3.473 3.100
Cu -13.600 -8.008 -0.811
Cl -3.794 1.491 0.264
Cu -11.348 -3.491 -2.467
O -14.024 -7.031 -2.511
O -15.398 -5.051 -1.520
Se -4.011 -2.929 -0.133
O -9.655 -1.602 0.168
Cl -9.311 -5.455 -3.474
O -12.736 -4.798 -1.830
Cu -13.905 -7.552 2.124
Se -9.519 -3.330 0.367
Cl -10.717 -4.231 -7.419
O -12.082 -4.690 2.119
O -18.732 -7.029 -1.582
O -5.735 -1.861 -4.849
O -11.543 -1.474 -5.581
Cl -17.547 -7.384 -4.513
Cl -7.307 -0.319 -1.928
Cu -10.357 -0.216 1.391
Se -10.987 -5.897 2.869
O -11.597 -3.943 -4.462
O -8.282 -3.583 -0.822
O -13.310 -9.032 0.891
O -13.531 -9.493 -2.065
Cl -16.372 -8.314 -0.414
O -17.944 -6.772 2.506
Cu -1.817 2.315 1.203
Cu -12.331 -5.142 0.125
Cu -10.367 -5.160 -5.443
Se -14.160 -5.303 -2.710
Se -19.668 -5.704 -2.209
O -7.345 1.131 0.599
Cu -8.670 2.050 -0.683
Cl -19.886 -10.124 -2.607
Cu -8.266 -2.948 -2.727
O -15.345 -6.210 2.318
O -18.379 -4.621 -2.671
O -10.943 -3.835 -0.512
Cu -13.322 -8.417 -3.734
Se -13.015 -10.733 1.065
O -13.199 -2.223 -3.630
Cu -5.284 -5.125 1.882
O -13.659 -6.524 0.430
Cl -10.695 -1.571 3.218
O -12.136 -7.159 3.238
O -16.334 -9.765 -2.942
O -10.020 -2.110 -2.773
Cu -17.345 -8.126 -2.439
```

=====

Stability check: which of them is most stable? arrangement i.

=====

Arrangement i

First-principles (PBE) data for a relaxed Cu3Se2Cl2O6 crystal, as listed in Materials Project.

```
13
Lattice="3.124 4.532 0.000 -3.124 4.532 0.000 0.000 2.346 7.453" Properties=species:S:1:pos:R:3 pbc="T T T"
O 1.935 5.817 6.340
O -1.935 5.592 1.113
Cu 0.000 5.837 6.126
Cu 0.000 5.573 1.328
Cu 0.000 0.000 0.000
O 0.000 3.514 0.969
O 0.000 7.896 6.484
Se 0.000 2.125 1.941
O 1.935 5.592 1.113
Cl 0.000 7.280 2.743
O -1.935 5.817 6.340
Se 0.000 9.284 5.513
Cl 0.000 4.130 4.710
```

=====

Arrangement ii

First-principles (PBE) data for a relaxed Cu3Se2Cl2O6 crystal, as listed in Materials Project.

```
26
Lattice="6.171 0.000 0.000 -0.259 8.050 0.000 -0.735 -0.188 8.646" Properties=species:S:1:pos:R:3 pbc="T T T"
O 2.697 3.331 5.337
Cl 5.472 2.088 4.899
O 4.174 0.935 0.384
Cu 2.332 1.418 0.650
O 3.532 5.538 1.025
Cu 1.310 4.700 4.911
Cu -0.142 3.080 7.532
O 4.732 6.085 8.298
O 1.645 2.324 7.620
Cl -0.296 5.775 3.747
O 0.444 1.778 0.348
O 2.480 4.532 3.309
Cu 3.866 3.162 3.734
Cl 2.275 0.942 2.808
O 4.804 3.047 2.002
Cu 2.845 6.445 7.996
Se 5.370 1.428 1.546
Se 3.172 2.289 6.707
Se 2.005 5.573 1.939
Se -0.193 6.434 7.100
O 4.124 3.412 7.609
Cu 5.318 4.783 1.114
O 0.373 4.815 6.644
Cl 2.902 6.920 5.838
O 1.002 6.928 8.262
O 1.053 4.451 1.037
```

=====

Stability check: which of them is most stable? arrangement i.